The following is a DFT calculation (PBE) of a relaxed structure of LaMg6Ni.

Values from the calculation:
- Polymorph energy (0 for the lowest one): 0.47 kcal/mol of atoms
- Total magnetization: 0.000 μB/atom
- Calculated formation energy: 0.04 eV/atom

Cell: 4.8348 6.2660 12.2069 Å, 90.00 90.00 90.00°
Fractional positions:
Mg: 0.5000 0.7476 0.4282
Mg: 0.0000 0.2561 0.5566
Mg: 0.0000 0.7561 0.0566
Mg: 0.0000 0.5000 0.8123
Mg: 0.0000 0.7439 0.5566
Mg: 0.5000 0.5000 0.6505
Mg: 0.0000 0.2439 0.0566
Mg: 0.5000 0.0000 0.1505
Mg: 0.0000 0.0000 0.3123
Mg: 0.5000 0.2476 0.9282
Mg: 0.5000 0.7524 0.9282
Mg: 0.5000 0.2524 0.4282
Ni: 0.0000 0.5000 0.3638
Ni: 0.0000 0.0000 0.8638
La: 0.5000 0.5000 0.2039
La: 0.5000 0.0000 0.7039